Entry 1:
An optimized crystal structure of Li4Cr3CoO8, computed with PBE with a Hubbard U.

Structure (POSCAR):
```
Li4Cr3CoO8
1.0
-4.1754 -0.9799 -2.7658
4.6010 -1.1022 -3.4530
1.1848 -9.0211 4.4990
Li Cr Co O
8 6 2 16
Cartesian
0.1669 -8.5685 -1.9562
3.7396 -3.1047 -1.4480
2.8929 -5.0617 0.5230
2.3005 -0.5511 -1.7265
-2.1292 -7.9985 -0.2718
1.4435 -2.5347 0.2364
0.5924 -4.5105 2.2495
0.0000 0.0000 0.0000
1.8159 -9.0527 0.3910
-0.2055 -2.0505 -2.1108
-1.0560 -4.0340 -0.1256
-0.4732 -8.5017 2.1105
2.6664 -7.0692 -1.5942
2.0836 -2.6016 -3.8303
1.2308 -4.5766 -1.8454
0.3796 -6.5266 0.1256
2.2530 -7.0876 0.3767
1.6959 -2.6557 -1.8523
0.7551 -6.4746 -1.8028
0.1701 -2.0091 -4.0926
0.8553 -4.6287 0.0830
-0.6426 -4.0157 -2.0966
1.4402 -9.0942 2.3727
-0.0855 -8.4475 0.1325
-0.0021 -6.5373 2.0714
-1.4999 -5.9841 -0.1126
-0.5953 -2.0668 -0.1321
-2.1238 -1.4621 -2.3654
3.1103 -5.1192 -1.6072
1.6125 -4.5659 -3.7912
3.7341 -9.6411 0.6456
2.2057 -9.0364 -1.5877
```

Output
Total DFT energy (no corrections): -6.617 eV per atom
SG: P-1, No. 2

Entry 2:
An optimized crystal structure of Li4Cr3CoO8, computed with PBE with a Hubbard U.

Structure (POSCAR):
```
Li4Cr3CoO8
1.0
-1.9020 -0.9844 5.5368
-4.0753 -4.1856 1.0560
1.5140 -4.9927 2.8326
Li Cr Co O
4 3 1 8
Cartesian
-0.1940 -2.9886 4.1847
-2.9887 -2.5850 3.2964
0.0000 0.0000 0.0000
-1.2806 -4.5892 1.9443
-0.9510 -0.4922 2.7684
-2.0377 -2.0928 0.5280
0.7570 -2.4963 1.4163
-2.2317 -5.0814 4.7127
-0.3988 -5.1104 3.8445
-3.1817 -4.7085 2.9599
-1.0785 -2.4556 2.2775
-2.0997 -3.1147 5.1908
-2.3637 -7.0481 4.2346
-1.2816 -5.4542 6.4655
-3.3849 -7.7071 7.1480
-4.0645 -5.0524 5.5810
```

Output
Total DFT energy (no corrections): -6.608 eV per atom
SG: R-3m, No. 166

Entry 3:
An optimized crystal structure of Li4Cr3CoO8, computed with PBE with a Hubbard U.

Structure (POSCAR):
```
Li4Cr3CoO8
1.0
-4.9866 -1.0846 0.0964
-1.5960 -3.9394 6.4678
-2.0750 6.0011 4.4578
Li Cr Co O
8 6 2 16
Cartesian
0.0000 0.0000 0.0000
-2.7644 1.5541 8.1928
-2.1819 -1.2036 7.3271
-2.4143 3.7437 6.3109
-1.8355 1.0309 5.4628
-6.2433 -2.7665 4.7112
-6.4757 2.1807 3.6950
-5.8932 -0.5770 2.8292
-5.5338 2.3886 8.6631
-4.9496 -0.3539 7.7824
-4.3758 -3.0956 6.9393
-4.2817 4.0727 4.0827
-3.7080 1.3310 3.2397
-3.1238 -1.4115 2.3590
-4.6158 1.8481 5.9407
-4.0418 -0.8710 5.0814
-6.9925 1.6876 9.8779
-4.4180 0.8371 9.3323
-6.4125 -1.0577 9.0098
-4.0803 3.0324 7.4328
-6.0456 1.1934 7.1206
-5.4678 -1.5486 6.2558
-3.5266 0.3335 6.5437
-5.7203 3.3572 5.2993
-5.1310 0.6436 4.4783
-2.9373 -2.3801 5.7228
-3.1898 2.5257 4.7662
-4.5773 -2.0553 3.5892
-2.6120 -0.2163 3.9014
-4.2396 0.1400 1.6897
-2.2451 2.0348 2.0122
-1.6651 -0.7105 1.1441
```

Output
Total DFT energy (no corrections): -6.618 eV per atom
SG: P-1, No. 2

Entry 4:
An optimized crystal structure of Li4Cr3CoO8, computed with PBE with a Hubbard U.

Structure (POSCAR):
```
Li4Cr3CoO8
1.0
-4.2564 1.5950 -2.3183
-4.3913 -3.2352 2.1355
-4.7434 5.9886 7.2873
Li Cr Co O
8 6 2 16
Cartesian
-5.5945 2.9892 3.0310
-9.5249 2.4829 6.1879
-6.0633 0.2938 1.9844
-2.1282 0.7975 -1.1591
-7.7966 1.3592 4.0735
-7.3277 4.0546 5.1201
-3.8661 1.8656 0.9166
-4.3238 -0.8201 -0.0914
-7.4966 5.1574 2.3836
-3.6900 0.8228 3.6540
-4.1456 -1.8889 2.6266
-9.7010 3.5256 3.4505
-9.2455 6.2374 4.4779
-5.8945 -0.8090 4.7209
-1.9647 -0.2759 1.5690
-11.4263 4.6244 5.5355
-6.4258 -0.4929 -0.0174
-3.9029 -0.0459 1.8506
-7.7121 3.2971 3.1545
-5.2278 3.7771 4.9851
-9.1113 3.2373 8.1226
-7.2499 6.0489 4.1789
-8.1633 0.5713 2.1194
-5.6790 1.0513 3.9500
-4.2798 1.1111 -1.0181
-6.1411 -1.7005 2.9256
-9.9084 1.6690 4.2153
-7.4164 2.1839 6.0842
-9.4881 4.3943 5.2539
-5.9746 2.1645 1.0203
-6.9652 4.8413 7.1219
-3.4826 2.6794 2.8892
```

Output
Total DFT energy (no corrections): -6.617 eV per atom
SG: P-1, No. 2

> What is the total DFT energy (no corrections) in the fourth record?

-6.617 eV per atom